Entry 1
Density functional theory data (PBE with a Hubbard U) for a geometry-optimized LiCoPO4 structure.

Lattice parameters (Å, degrees): 5.037 5.037 15.941 88.45 91.55 110.16
Atoms (fractional coordinates):
Li: 0.250 0.701 0.243
P: 0.750 0.722 0.371
Li: 0.299 0.750 0.743
Co: 0.606 0.919 0.918
O: 0.364 0.156 0.959
Co: 0.394 0.081 0.082
Li: 0.750 0.299 0.757
O: 0.844 0.636 0.459
O: 0.082 0.390 0.691
Co: 0.919 0.606 0.582
P: 0.278 0.250 0.871
O: 0.569 0.435 0.647
P: 0.250 0.278 0.629
O: 0.918 0.610 0.309
O: 0.565 0.431 0.147
Li: 0.701 0.250 0.257
O: 0.181 0.955 0.636
O: 0.610 0.918 0.191
O: 0.435 0.569 0.853
O: 0.955 0.181 0.864
O: 0.819 0.045 0.364
O: 0.156 0.364 0.541
O: 0.390 0.082 0.809
O: 0.431 0.565 0.353
O: 0.636 0.844 0.041
O: 0.045 0.819 0.136
P: 0.722 0.750 0.129
Co: 0.081 0.394 0.418



Entry 2
Density functional theory data (PBE with a Hubbard U) for a geometry-optimized LiCoPO4 structure.

Lattice parameters (Å, degrees): 8.013 8.695 17.271 60.41 90.00 90.00
Atoms (fractional coordinates):
P: 0.244 0.643 0.913
P: 0.756 0.357 0.087
O: 0.428 0.572 0.402
Li: 0.509 0.252 0.440
Co: 0.667 0.317 0.265
O: 0.125 0.587 0.365
O: 0.760 0.151 0.132
O: 0.935 0.873 0.468
O: 0.719 0.082 0.826
O: 0.635 0.753 0.161
Li: 0.017 0.631 0.585
Co: 0.345 0.985 0.921
O: 0.229 0.227 0.711
P: 0.256 0.643 0.413
O: 0.781 0.082 0.326
Li: 0.848 0.004 0.247
O: 0.726 0.482 0.794
Li: 0.491 0.748 0.560
Li: 0.991 0.252 0.940
Co: 0.158 0.353 0.093
O: 0.875 0.413 0.635
Li: 0.517 0.369 0.915
Co: 0.655 0.015 0.079
Co: 0.342 0.353 0.593
O: 0.774 0.482 0.294
O: 0.446 0.261 0.324
Li: 0.348 0.996 0.253
O: 0.281 0.918 0.174
Li: 0.009 0.748 0.060
O: 0.072 0.572 0.902
Li: 0.483 0.631 0.085
O: 0.789 0.082 0.969
P: 0.720 0.684 0.730
O: 0.625 0.413 0.135
O: 0.865 0.753 0.661
O: 0.789 0.433 0.487
O: 0.711 0.433 0.987
O: 0.369 0.182 0.547
O: 0.729 0.773 0.789
Li: 0.652 0.004 0.747
O: 0.631 0.818 0.453
O: 0.565 0.873 0.968
O: 0.271 0.227 0.211
P: 0.780 0.684 0.230
O: 0.711 0.082 0.469
Co: 0.167 0.683 0.235
Co: 0.845 0.015 0.579
O: 0.289 0.567 0.013
P: 0.235 0.037 0.571
O: 0.554 0.739 0.676
O: 0.260 0.849 0.368
P: 0.735 0.963 0.929
O: 0.771 0.773 0.289
O: 0.289 0.918 0.531
Li: 0.152 0.996 0.753
O: 0.435 0.127 0.032
O: 0.054 0.261 0.824
P: 0.280 0.316 0.270
O: 0.219 0.918 0.674
Co: 0.833 0.317 0.765
O: 0.211 0.567 0.513
O: 0.240 0.849 0.868
O: 0.365 0.247 0.839
P: 0.765 0.963 0.429
O: 0.226 0.518 0.706
O: 0.375 0.587 0.865
P: 0.220 0.316 0.770
O: 0.131 0.182 0.047
Co: 0.658 0.647 0.407
O: 0.211 0.918 0.031
O: 0.572 0.428 0.598
Co: 0.842 0.647 0.907
O: 0.740 0.151 0.632
O: 0.274 0.518 0.206
Li: 0.983 0.369 0.415
O: 0.135 0.247 0.339
P: 0.265 0.037 0.071
O: 0.946 0.739 0.176
P: 0.744 0.357 0.587
O: 0.065 0.127 0.532
O: 0.928 0.428 0.098
Co: 0.333 0.683 0.735
O: 0.869 0.818 0.953
Co: 0.155 0.985 0.421



Entry 3
Density functional theory data (PBE with a Hubbard U) for a geometry-optimized LiCoPO4 structure.

Lattice parameters (Å, degrees): 4.722 10.340 6.230 90.00 90.00 90.00
Atoms (fractional coordinates):
O: 0.722 0.047 0.750
P: 0.583 0.907 0.750
Co: 0.000 0.000 0.000
O: 0.797 0.342 0.955
O: 0.247 0.414 0.750
O: 0.753 0.586 0.250
O: 0.222 0.452 0.250
O: 0.203 0.658 0.455
O: 0.703 0.842 0.545
Co: 0.000 0.000 0.500
O: 0.297 0.158 0.045
P: 0.083 0.593 0.250
O: 0.278 0.953 0.250
O: 0.253 0.914 0.750
P: 0.417 0.093 0.250
Li: 0.506 0.785 0.250
Li: 0.494 0.215 0.750
O: 0.778 0.548 0.750
O: 0.797 0.342 0.545
Co: 0.500 0.500 0.000
O: 0.703 0.842 0.955
Li: 0.006 0.715 0.750
O: 0.297 0.158 0.455
P: 0.917 0.407 0.750
Co: 0.500 0.500 0.500
O: 0.747 0.086 0.250
Li: 0.994 0.285 0.250
O: 0.203 0.658 0.045



Entry 4
Density functional theory data (PBE with a Hubbard U) for a geometry-optimized LiCoPO4 structure.

Lattice parameters (Å, degrees): 4.293 14.627 4.766 90.00 90.00 90.00
Atoms (fractional coordinates):
O: 0.236 0.552 0.586
O: 0.687 0.172 0.536
Co: 0.000 0.937 0.750
P: 0.000 0.387 0.250
O: 0.313 0.828 0.464
O: 0.813 0.328 0.036
O: 0.687 0.828 0.036
O: 0.264 0.052 0.586
O: 0.736 0.052 0.914
Co: 0.000 0.063 0.250
O: 0.313 0.172 0.964
Li: 0.000 0.249 0.750
P: 0.500 0.113 0.750
Co: 0.500 0.437 0.750
O: 0.813 0.672 0.536
Li: 0.500 0.749 0.750
O: 0.236 0.448 0.086
O: 0.264 0.948 0.086
O: 0.187 0.328 0.464
P: 0.000 0.613 0.750
O: 0.736 0.948 0.414
P: 0.500 0.887 0.250
Co: 0.500 0.563 0.250
O: 0.187 0.672 0.964
Li: 0.500 0.251 0.250
O: 0.764 0.552 0.914
Li: 0.000 0.751 0.250
O: 0.764 0.448 0.414



Preferred: entry 2; penalty for the next structure: 0.9 kJ/mol of atoms.



Entry 1
Density functional theory data (PBE with a Hubbard U) for a geometry-optimized LiCoPO4 structure.

Lattice parameters (Å, degrees): 5.135 8.448 5.135 107.71 60.00 107.73
Atoms (fractional coordinates):
O: 0.838 0.556 0.146
O: 0.738 0.171 0.430
O: 0.003 0.171 0.738
O: 0.430 0.171 0.003
Li: 0.413 0.240 0.413
Li: 0.162 0.487 0.162
O: 0.572 0.556 0.838
P: 0.701 0.104 0.701
Co: 0.019 0.056 0.019
O: 0.637 0.912 0.637
O: 0.146 0.556 0.572
O: 0.938 0.815 0.938
Co: 0.557 0.670 0.557
P: 0.874 0.622 0.874



Entry 2
Density functional theory data (PBE with a Hubbard U) for a geometry-optimized LiCoPO4 structure.

Lattice parameters (Å, degrees): 5.121 8.639 15.459 86.29 90.00 90.00
Atoms (fractional coordinates):
O: 0.398 0.725 0.414
P: 0.749 0.095 0.367
Co: 0.797 0.431 0.417
O: 0.522 0.420 0.154
O: 0.012 0.485 0.832
O: 0.478 0.580 0.846
O: 0.988 0.515 0.168
O: 0.488 0.485 0.332
O: 0.876 0.933 0.389
Li: 0.231 0.376 0.742
Li: 0.269 0.376 0.242
O: 0.102 0.725 0.914
O: 0.299 0.850 0.229
O: 0.048 0.087 0.889
P: 0.751 0.095 0.867
O: 0.022 0.580 0.346
Li: 0.257 0.203 0.498
O: 0.978 0.420 0.654
O: 0.701 0.150 0.771
O: 0.250 0.454 0.474
Co: 0.203 0.569 0.583
O: 0.548 0.913 0.611
Co: 0.241 0.910 0.347
O: 0.384 0.787 0.075
Li: 0.731 0.624 0.758
O: 0.898 0.275 0.086
O: 0.116 0.787 0.575
P: 0.708 0.434 0.608
Co: 0.259 0.910 0.847
P: 0.292 0.566 0.392
Li: 0.769 0.624 0.258
O: 0.952 0.913 0.111
Li: 0.243 0.203 0.998
P: 0.249 0.905 0.133
O: 0.884 0.213 0.425
O: 0.124 0.067 0.611
Co: 0.759 0.090 0.653
P: 0.251 0.905 0.633
O: 0.624 0.933 0.889
O: 0.376 0.067 0.111
O: 0.616 0.213 0.925
O: 0.452 0.087 0.389
O: 0.250 0.454 0.974
O: 0.512 0.515 0.668
Co: 0.703 0.431 0.917
O: 0.799 0.150 0.271
O: 0.201 0.850 0.729
O: 0.602 0.275 0.586
Li: 0.757 0.797 0.002
P: 0.208 0.566 0.892
Li: 0.743 0.797 0.502
O: 0.750 0.546 0.026
Co: 0.741 0.090 0.153
P: 0.792 0.434 0.108
O: 0.750 0.546 0.526
Co: 0.297 0.569 0.083



Preferred: entry 1; penalty for the next structure: 1.1 kJ/mol of atoms.



Entry 1
Density functional theory data (PBE with a Hubbard U) for a geometry-optimized LiCoPO4 structure.

Lattice parameters (Å, degrees): 5.435 7.435 8.220 90.00 90.00 90.00
Atoms (fractional coordinates):
Co: 0.215 0.735 0.939
O: 0.369 0.825 0.738
O: 0.464 0.780 0.119
Li: 0.731 0.921 0.752
P: 0.722 0.201 0.424
O: 0.370 0.669 0.464
O: 0.870 0.831 0.964
O: 0.870 0.331 0.536
O: 0.191 0.980 0.485
O: 0.869 0.175 0.262
O: 0.191 0.480 0.015
O: 0.964 0.720 0.619
O: 0.369 0.325 0.762
Li: 0.231 0.579 0.252
O: 0.964 0.220 0.881
Co: 0.715 0.265 0.061
Co: 0.715 0.765 0.439
P: 0.222 0.799 0.576
O: 0.869 0.675 0.238
O: 0.464 0.280 0.381
Li: 0.731 0.421 0.748
O: 0.691 0.520 0.985
O: 0.691 0.020 0.515
P: 0.222 0.299 0.924
P: 0.722 0.701 0.076
Li: 0.231 0.079 0.248
Co: 0.215 0.235 0.561
O: 0.370 0.169 0.036



Entry 2
Density functional theory data (PBE with a Hubbard U) for a geometry-optimized LiCoPO4 structure.

Lattice parameters (Å, degrees): 5.757 7.649 13.908 90.00 90.00 90.00
Atoms (fractional coordinates):
O: 0.029 0.871 0.638
O: 0.664 0.613 0.727
O: 0.680 0.021 0.561
O: 0.836 0.113 0.727
O: 0.471 0.129 0.138
O: 0.441 0.688 0.577
Li: 0.651 0.196 0.278
O: 0.820 0.521 0.561
O: 0.059 0.312 0.077
O: 0.180 0.021 0.939
O: 0.559 0.188 0.923
O: 0.680 0.479 0.061
P: 0.102 0.547 0.873
O: 0.529 0.871 0.862
Co: 0.905 0.183 0.960
Co: 0.095 0.817 0.040
Li: 0.151 0.304 0.722
O: 0.059 0.188 0.577
Li: 0.151 0.196 0.222
O: 0.164 0.887 0.273
O: 0.441 0.812 0.077
O: 0.336 0.387 0.273
Co: 0.405 0.183 0.540
P: 0.102 0.953 0.373
Co: 0.595 0.683 0.960
O: 0.971 0.371 0.862
P: 0.898 0.453 0.127
Li: 0.349 0.804 0.722
Li: 0.349 0.696 0.222
O: 0.180 0.479 0.439
O: 0.529 0.629 0.362
O: 0.941 0.812 0.423
P: 0.602 0.547 0.627
O: 0.559 0.312 0.423
O: 0.941 0.688 0.923
P: 0.602 0.953 0.127
O: 0.336 0.113 0.773
O: 0.164 0.613 0.773
P: 0.898 0.047 0.627
O: 0.664 0.887 0.227
Co: 0.095 0.683 0.540
Li: 0.651 0.304 0.778
O: 0.836 0.387 0.227
Li: 0.849 0.696 0.278
Co: 0.905 0.317 0.460
O: 0.471 0.371 0.638
Co: 0.405 0.317 0.040
O: 0.029 0.629 0.138
O: 0.971 0.129 0.362
P: 0.398 0.453 0.373
O: 0.320 0.521 0.939
O: 0.820 0.979 0.061
Co: 0.595 0.817 0.460
O: 0.320 0.979 0.439
P: 0.398 0.047 0.873
Li: 0.849 0.804 0.778



Preferred: entry 2; penalty for the next structure: 1.5 kJ/mol of atoms.